A plane-wave DFT calculation with PBE-GGA was carried out for a relaxed PaZnAu2 crystal.

Cell and atoms, written as CIF:
```
data_PaZnAu2
_cell_length_a 4.883
_cell_length_b 4.883
_cell_length_c 4.883
_cell_angle_alpha 60.00
_cell_angle_beta 60.00
_cell_angle_gamma 60.00
_space_group_name_H-M_alt 'P 1'
_space_group_IT_number 1
_space_group_name_Hall 'P 1'
loop_
_atom_site_label
_atom_site_type_symbol
_atom_site_fract_x
_atom_site_fract_y
_atom_site_fract_z
Au1 Au 0.250 0.250 0.250
Pa1 Pa 0.500 0.500 0.500
Au2 Au 0.750 0.750 0.750
Zn1 Zn 0.000 0.000 0.000
```

Calculated values
Its calculated formation energy is -345 meV per atom.